Here is crystalline LaSiNi at its relaxed geometry from the Materials Project. Energies are from PBE.

POSCAR file:
```
LaSiNi
1.0
4.182 0.000 0.000
0.000 4.182 0.000
0.000 0.000 14.020
La Si Ni
4 4 4
direct
0.000 0.000 0.000
0.000 0.500 0.250
0.500 0.000 0.750
0.500 0.500 0.500
0.000 0.000 0.580
0.000 0.500 0.830
0.500 0.000 0.330
0.500 0.500 0.080
0.000 0.000 0.411
0.000 0.500 0.661
0.500 0.000 0.161
0.500 0.500 0.911
```

Computed properties:
ΔE_f: -0.73 eV per atom
Calculated total energy: -73.27 eV/cell
Volume: 245.2 Å³ per cell

Here is crystalline LaSiNi4 at its relaxed geometry from the Materials Project. Energies are from PBE.

POSCAR file:
```
LaSiNi4
1.0
5.236 0.000 0.000
0.000 8.331 0.000
0.000 0.000 3.969
La Si Ni
2 2 8
direct
0.000 0.000 0.000
0.500 0.500 0.000
0.000 0.500 0.500
0.500 0.000 0.500
0.000 0.343 0.000
0.000 0.657 0.000
0.250 0.250 0.500
0.250 0.750 0.500
0.500 0.157 0.000
0.500 0.843 0.000
0.750 0.250 0.500
0.750 0.750 0.500
```

Computed properties:
ΔE_f: -0.54 eV per atom
Calculated total energy: -73.46 eV/cell
Volume: 173.1 Å³ per cell

Here is crystalline La3Si3Ni at its relaxed geometry from the Materials Project. Energies are from PBE.

POSCAR file:
```
La3Si3Ni
1.0
4.084 0.000 0.000
0.000 4.388 0.000
0.000 0.000 18.259
La Si Ni
6 6 2
direct
0.000 0.000 0.000
0.000 0.000 0.365
0.000 0.500 0.680
0.500 0.000 0.180
0.500 0.500 0.500
0.500 0.500 0.865
0.000 0.000 0.548
0.000 0.000 0.818
0.000 0.500 0.241
0.500 0.000 0.741
0.500 0.500 0.048
0.500 0.500 0.318
0.000 0.500 0.116
0.500 0.000 0.616
```

Computed properties:
Size of the total moment: 0.02 Bohr magnetons per cell
ΔE_f: -0.73 eV per atom
Calculated total energy: -83.94 eV/cell
Volume: 327.2 Å³ per cell